{
  "formula": "U2P2O9",
  "functional": "GGA-PBE",
  "state": "relaxed",
  "corrected_energy_ev_per_atom": -9.233,
  "energy_ev_per_cell": -227.68,
  "ef_ev_per_atom": -3.237,
  "cell": [[3.567, -4.536, 0.000], [3.567, 4.536, 0.000], [0.000, 0.000, 12.773]],
  "species": ["U", "U", "U", "U", "P", "P", "P", "P", "O", "O", "O", "O", "O", "O", "O", "O", "O", "O", "O", "O", "O", "O", "O", "O", "O", "O"],
  "fractional_positions": [[0.209, 0.791, 0.931], [0.291, 0.709, 0.431], [0.709, 0.291, 0.569], [0.791, 0.209, 0.069], [0.109, 0.891, 0.644], [0.391, 0.609, 0.144], [0.609, 0.391, 0.856], [0.891, 0.109, 0.356], [0.000, 0.000, 0.000], [0.014, 0.646, 0.586], [0.059, 0.941, 0.376], [0.140, 0.860, 0.761], [0.146, 0.514, 0.086], [0.354, 0.986, 0.586], [0.360, 0.640, 0.261], [0.441, 0.559, 0.876], [0.486, 0.854, 0.086], [0.500, 0.500, 0.500], [0.514, 0.146, 0.914], [0.559, 0.441, 0.124], [0.640, 0.360, 0.739], [0.646, 0.014, 0.414], [0.854, 0.486, 0.914], [0.860, 0.140, 0.239], [0.941, 0.059, 0.624], [0.986, 0.354, 0.414]]
}